Record 1
Density functional theory data (PBE-GGA) for an optimized crystal structure of Ba5P3O12F.

Unit cell a=10.315 b=10.315 c=7.838 alpha=90.00 beta=90.00 gamma=120.00
Atoms (fractional coordinates):
Ba (0.018, 0.760, 0.000)
Ba (0.240, 0.259, 0.000)
Ba (0.259, 0.018, 0.500)
Ba (0.333, 0.667, 0.251)
Ba (0.333, 0.667, 0.749)
Ba (0.667, 0.333, 0.249)
Ba (0.667, 0.333, 0.751)
Ba (0.741, 0.982, 0.000)
Ba (0.760, 0.741, 0.500)
Ba (0.982, 0.240, 0.500)
P (0.032, 0.631, 0.500)
P (0.369, 0.402, 0.500)
P (0.402, 0.032, 0.000)
P (0.598, 0.968, 0.500)
P (0.631, 0.598, 0.000)
P (0.968, 0.369, 0.000)
O (0.079, 0.732, 0.338)
O (0.079, 0.732, 0.661)
O (0.118, 0.541, 0.500)
O (0.140, 0.481, 0.000)
O (0.268, 0.346, 0.661)
O (0.268, 0.347, 0.338)
O (0.341, 0.860, 0.000)
O (0.346, 0.079, 0.161)
O (0.347, 0.079, 0.838)
O (0.423, 0.882, 0.500)
O (0.459, 0.577, 0.500)
O (0.481, 0.341, 0.500)
O (0.519, 0.659, 0.000)
O (0.541, 0.423, 0.000)
O (0.577, 0.118, 0.000)
O (0.653, 0.921, 0.338)
O (0.654, 0.921, 0.661)
O (0.659, 0.140, 0.500)
O (0.732, 0.653, 0.838)
O (0.732, 0.654, 0.161)
O (0.860, 0.519, 0.500)
O (0.882, 0.459, 0.000)
O (0.921, 0.268, 0.161)
O (0.921, 0.268, 0.838)
F (0.000, 0.000, 0.469)
F (0.000, 0.000, 0.969)

Results
The total energy comes out at -7.119 eV/atom. For the formation energy, the calculation gives -3.38 eV/atom. As for the space group: P6_3, No. 173.

---

Record 2
Density functional theory data (PBE-GGA) for an optimized crystal structure of SmI3O10.

Unit cell a=7.466 b=6.686 c=10.145 alpha=90.00 beta=110.23 gamma=90.00
Atoms (fractional coordinates):
Sm (0.235, 0.000, 0.311)
Sm (0.765, 0.500, 0.689)
I (0.106, 0.128, 0.918)
I (0.168, 0.526, 0.539)
I (0.468, 0.474, 0.276)
I (0.532, 0.974, 0.724)
I (0.832, 0.026, 0.461)
I (0.894, 0.628, 0.082)
O (0.036, 0.394, 0.890)
O (0.045, 0.640, 0.649)
O (0.098, 0.717, 0.401)
O (0.253, 0.158, 0.104)
O (0.277, 0.835, 0.912)
O (0.295, 0.360, 0.349)
O (0.298, 0.140, 0.840)
O (0.345, 0.712, 0.223)
O (0.348, 0.052, 0.561)
O (0.414, 0.598, 0.640)
O (0.586, 0.098, 0.360)
O (0.652, 0.552, 0.439)
O (0.655, 0.212, 0.777)
O (0.702, 0.640, 0.160)
O (0.705, 0.860, 0.651)
O (0.723, 0.335, 0.088)
O (0.747, 0.658, 0.896)
O (0.902, 0.217, 0.599)
O (0.955, 0.140, 0.351)
O (0.964, 0.894, 0.110)

Results
The total energy comes out at -4.951 eV/atom. For the formation energy, the calculation gives -1.24 eV/atom. As for the space group: P2_1, No. 4.

---

Record 3
Density functional theory data (PBE-GGA) for an optimized crystal structure of MnCd4S5.

Unit cell a=12.933 b=12.933 c=9.865 alpha=104.80 beta=104.80 gamma=18.57
Atoms (fractional coordinates):
Mn (0.000, 0.000, 0.000)
Mn (0.200, 0.200, 0.601)
Cd (0.166, 0.166, 0.169)
Cd (0.368, 0.368, 0.771)
Cd (0.402, 0.402, 0.196)
Cd (0.569, 0.569, 0.367)
Cd (0.600, 0.600, 0.797)
Cd (0.767, 0.767, 0.963)
Cd (0.799, 0.799, 0.401)
Cd (0.968, 0.968, 0.570)
S (0.042, 0.042, 0.805)
S (0.072, 0.072, 0.217)
S (0.240, 0.240, 0.404)
S (0.273, 0.273, 0.816)
S (0.448, 0.448, 0.994)
S (0.477, 0.477, 0.429)
S (0.648, 0.648, 0.594)
S (0.676, 0.676, 0.028)
S (0.842, 0.842, 0.193)
S (0.876, 0.876, 0.628)

Results
The energy relative to the lowest polymorph listed for this composition is 11 meV per atom. The total energy comes out at -3.957 eV/atom. For the formation energy, the calculation gives -0.86 eV/atom. As for the space group: Cm, No. 8.

---

Record 4
Density functional theory data (PBE-GGA) for an optimized crystal structure of Ca3Be2Si3H2O12.

Unit cell a=9.899 b=9.899 c=9.960 alpha=90.00 beta=90.00 gamma=90.00
Atoms (fractional coordinates):
Ca (0.044, 0.436, 0.240)
Ca (0.064, 0.044, 0.260)
Ca (0.250, 0.750, 0.260)
Ca (0.250, 0.750, 0.760)
Ca (0.436, 0.456, 0.260)
Ca (0.456, 0.064, 0.240)
Ca (0.544, 0.936, 0.760)
Ca (0.564, 0.544, 0.740)
Ca (0.750, 0.250, 0.240)
Ca (0.750, 0.250, 0.740)
Ca (0.936, 0.956, 0.740)
Ca (0.956, 0.564, 0.760)
Be (0.037, 0.768, 0.527)
Be (0.232, 0.537, 0.027)
Be (0.268, 0.963, 0.027)
Be (0.463, 0.732, 0.527)
Be (0.537, 0.268, 0.473)
Be (0.732, 0.037, 0.973)
Be (0.768, 0.463, 0.973)
Be (0.963, 0.232, 0.473)
Si (0.038, 0.763, 0.029)
Si (0.237, 0.538, 0.529)
Si (0.250, 0.250, 0.011)
Si (0.250, 0.250, 0.489)
Si (0.263, 0.962, 0.529)
Si (0.462, 0.737, 0.029)
Si (0.538, 0.263, 0.971)
Si (0.737, 0.038, 0.471)
Si (0.750, 0.750, 0.511)
Si (0.750, 0.750, 0.989)
Si (0.763, 0.462, 0.471)
Si (0.962, 0.237, 0.971)
H (0.044, 0.245, 0.680)
H (0.245, 0.456, 0.820)
H (0.255, 0.044, 0.820)
H (0.456, 0.255, 0.680)
H (0.544, 0.745, 0.320)
H (0.745, 0.956, 0.180)
H (0.755, 0.544, 0.180)
H (0.956, 0.755, 0.320)
O (0.033, 0.767, 0.866)
O (0.035, 0.792, 0.365)
O (0.106, 0.625, 0.094)
O (0.109, 0.627, 0.587)
O (0.113, 0.233, 0.399)
O (0.118, 0.227, 0.910)
O (0.125, 0.894, 0.594)
O (0.127, 0.891, 0.087)
O (0.208, 0.535, 0.865)
O (0.227, 0.382, 0.590)
O (0.233, 0.387, 0.101)
O (0.233, 0.533, 0.366)
O (0.267, 0.113, 0.101)
O (0.267, 0.967, 0.366)
O (0.273, 0.118, 0.590)
O (0.292, 0.965, 0.865)
O (0.373, 0.609, 0.087)
O (0.375, 0.606, 0.594)
O (0.382, 0.273, 0.910)
O (0.387, 0.267, 0.399)
O (0.391, 0.873, 0.587)
O (0.394, 0.875, 0.094)
O (0.465, 0.708, 0.365)
O (0.467, 0.733, 0.866)
O (0.533, 0.267, 0.134)
O (0.535, 0.292, 0.635)
O (0.606, 0.125, 0.906)
O (0.609, 0.127, 0.413)
O (0.613, 0.733, 0.601)
O (0.618, 0.727, 0.090)
O (0.625, 0.394, 0.406)
O (0.627, 0.391, 0.913)
O (0.708, 0.035, 0.135)
O (0.727, 0.882, 0.410)
O (0.733, 0.033, 0.634)
O (0.733, 0.887, 0.899)
O (0.767, 0.467, 0.634)
O (0.767, 0.613, 0.899)
O (0.773, 0.618, 0.410)
O (0.792, 0.465, 0.135)
O (0.873, 0.109, 0.913)
O (0.875, 0.106, 0.406)
O (0.882, 0.773, 0.090)
O (0.887, 0.767, 0.601)
O (0.891, 0.373, 0.413)
O (0.894, 0.375, 0.906)
O (0.965, 0.208, 0.635)
O (0.967, 0.233, 0.134)

Results
The total energy comes out at -7.078 eV/atom. For the formation energy, the calculation gives -3.09 eV/atom. As for the space group: P4_2/n, No. 86.